1.
An optimized crystal structure of GaCo2Ni, computed with PBE-GGA.

a = 2.8878 Å, b = 2.8878 Å, c = 5.5122 Å
α = 90.00°, β = 90.00°, γ = 90.00°
With the nearest neighbours (Å) after each atom.
Fractional coordinates of all 4 atoms:
Ga1 0.5000 0.5000 0.5000  8 Co 2.48, 2 Ni 2.76
Co1 0.0000 0.0000 0.7566  4 Ni 2.44, 4 Ga 2.48, 1 Co 2.68
Co2 0.0000 0.0000 0.2434  4 Ni 2.44, 4 Ga 2.48, 1 Co 2.68
Ni1 0.5000 0.5000 0.0000  8 Co 2.44

Summary:
- Magnetization: 2.51 Bohr magnetons per cell
- Mass density: 8.90 g/cm3
- ΔE_f: -42.5 meV/atom

***

2.
An optimized crystal structure of U2Ga10CoNi, computed with PBE-GGA.

a = 4.2483 Å, b = 4.2483 Å, c = 13.6176 Å
α = 90.00°, β = 90.00°, γ = 90.00°
With the nearest neighbours (Å) after each atom.
Fractional coordinates of all 14 atoms:
U1 0.0000 0.0000 0.7512  12 Ga 2.97-3.00
U2 0.0000 0.0000 0.2488  12 Ga 2.97-3.00
Ga1 0.5000 0.0000 0.0961  2 Co 2.49, 1 Ga 2.62
Ga2 0.5000 0.0000 0.5977  2 Ni 2.51, 1 Ga 2.66
Ga3 0.0000 0.5000 0.0961  2 Co 2.49, 1 Ga 2.62
Ga4 0.0000 0.5000 0.5977  2 Ni 2.51, 1 Ga 2.66
Ga5 0.5000 0.0000 0.9039  2 Co 2.49, 1 Ga 2.62
Ga6 0.5000 0.0000 0.4023  2 Ni 2.51, 1 Ga 2.66
Ga7 0.0000 0.5000 0.9039  2 Co 2.49, 1 Ga 2.62
Ga8 0.0000 0.5000 0.4023  2 Ni 2.51, 1 Ga 2.66
Ga9 0.5000 0.5000 0.7505  8 Ga 2.97-2.98, 4 U 3.00
Ga10 0.5000 0.5000 0.2495  8 Ga 2.97-2.98, 4 U 3.00
Co1 0.0000 0.0000 0.0000  8 Ga 2.49
Ni1 0.0000 0.0000 0.5000  8 Ga 2.51

Summary:
- Magnetization: 2.39 Bohr magnetons per cell
- Mass density: 8.72 g/cm3
- ΔE_f: -327.5 meV/atom

***

3.
An optimized crystal structure of NpGa5Co, computed with PBE-GGA.

a = 4.2182 Å, b = 4.2182 Å, c = 6.6905 Å
α = 90.00°, β = 90.00°, γ = 90.00°
With the nearest neighbours (Å) after each atom.
Fractional coordinates of all 7 atoms:
Np1 0.0000 0.0000 0.0000  12 Ga 2.94-2.98
Ga1 0.0000 0.5000 0.3051  2 Co 2.48, 1 Ga 2.61
Ga2 0.0000 0.5000 0.6949  2 Co 2.48, 1 Ga 2.61
Ga3 0.5000 0.0000 0.3051  2 Co 2.48, 1 Ga 2.61
Ga4 0.5000 0.0000 0.6949  2 Co 2.48, 1 Ga 2.61
Ga5 0.5000 0.5000 0.0000  8 Ga 2.94, 4 Np 2.98
Co1 0.0000 0.0000 0.5000  8 Ga 2.48

Summary:
- Mass density: 8.99 g/cm3
- ΔE_f: -220.7 meV/atom

***

4.
An optimized crystal structure of PrGaCo, computed with PBE-GGA.

a = 4.3688 Å, b = 7.1103 Å, c = 7.5168 Å
α = 90.00°, β = 90.00°, γ = 90.00°
With the nearest neighbours (Å) after each atom.
Fractional coordinates of all 12 atoms:
Pr1 0.2500 0.0209 0.8112  5 Co 2.96-3.24, 6 Ga 3.10-3.23
Pr2 0.2500 0.5209 0.6888  5 Co 2.96-3.24, 6 Ga 3.10-3.23
Pr3 0.7500 0.9791 0.1888  5 Co 2.96-3.24, 6 Ga 3.10-3.23
Pr4 0.7500 0.4791 0.3112  5 Co 2.96-3.24, 6 Ga 3.10-3.23
Ga1 0.2500 0.1656 0.4222  4 Co 2.58-2.59
Ga2 0.2500 0.6656 0.0778  4 Co 2.58-2.59
Ga3 0.7500 0.8344 0.5778  4 Co 2.58-2.59
Ga4 0.7500 0.3344 0.9222  4 Co 2.58-2.59
Co1 0.2500 0.8036 0.3966  4 Ga 2.58-2.59
Co2 0.2500 0.3036 0.1034  4 Ga 2.58-2.59
Co3 0.7500 0.1964 0.6034  4 Ga 2.58-2.59
Co4 0.7500 0.6964 0.8966  4 Ga 2.58-2.59

Summary:
- Magnetization: 0.01 Bohr magnetons per cell
- Mass density: 7.67 g/cm3
- ΔE_f: -359.0 meV/atom

***

5.
An optimized crystal structure of PrGaCo, computed with PBE-GGA.

a = 4.2210 Å, b = 7.7669 Å, c = 8.2373 Å
α = 90.00°, β = 90.00°, γ = 90.00°
With the nearest neighbours (Å) after each atom.
Fractional coordinates of all 12 atoms:
Pr1 0.2500 0.4265 0.7135  1 Co 2.70
Pr2 0.2500 0.0735 0.2135  1 Co 2.70
Pr3 0.7500 0.5735 0.2865  1 Co 2.70
Pr4 0.7500 0.9265 0.7865  1 Co 2.70
Ga1 0.2500 0.7260 0.0018  3 Co 2.38-2.43
Ga2 0.2500 0.7740 0.5018  3 Co 2.38-2.43
Ga3 0.7500 0.2740 0.9982  3 Co 2.38-2.43
Ga4 0.7500 0.2260 0.4982  3 Co 2.38-2.43
Co1 0.2500 0.4221 0.0407  3 Ga 2.38-2.43, 2 Co 2.52
Co2 0.2500 0.0779 0.5407  3 Ga 2.38-2.43, 2 Co 2.52
Co3 0.7500 0.5779 0.9593  3 Ga 2.38-2.43, 2 Co 2.52
Co4 0.7500 0.9221 0.4593  3 Ga 2.38-2.43, 2 Co 2.52

Summary:
- Magnetization: 0.00 Bohr magnetons per cell
- Mass density: 6.63 g/cm3
- ΔE_f: -266.2 meV/atom

***

6.
An optimized crystal structure of PrGaCo2, computed with PBE-GGA.

a = 3.7341 Å, b = 5.2822 Å, c = 6.9440 Å
α = 90.00°, β = 90.00°, γ = 90.00°
With the nearest neighbours (Å) after each atom.
Fractional coordinates of all 8 atoms:
Pr1 0.0000 0.2500 0.6722  10 Co 3.01-3.23, 3 Ga 3.03-3.08
Pr2 0.0000 0.7500 0.3278  10 Co 3.01-3.23, 3 Ga 3.03-3.08
Ga1 0.0000 0.2500 0.1152  6 Co 2.40-2.42
Ga2 0.0000 0.7500 0.8848  6 Co 2.40-2.42
Co1 0.5000 0.5000 0.0000  4 Ga 2.42, 4 Co 2.64-2.66
Co2 0.5000 0.0000 0.0000  4 Ga 2.42, 4 Co 2.64-2.66
Co3 0.5000 0.2500 0.3323  2 Ga 2.40, 2 Co 2.66
Co4 0.5000 0.7500 0.6677  2 Ga 2.40, 2 Co 2.66

Summary:
- Magnetization: 0.00 Bohr magnetons per cell
- Mass density: 7.97 g/cm3
- ΔE_f: -156.0 meV/atom

***

7.
An optimized crystal structure of Pr8Ga3Co, computed with PBE-GGA.

a = 10.5859 Å, b = 10.5859 Å, c = 7.0328 Å
α = 90.00°, β = 90.00°, γ = 120.00°
With the nearest neighbours (Å) after each atom.
Fractional coordinates of all 24 atoms:
Pr1 0.1704 0.8296 0.9936  1 Co 3.02, 3 Ga 3.08-3.24
Pr2 0.3408 0.1704 0.4936  1 Co 3.02, 3 Ga 3.08-3.24
Pr3 0.8296 0.6592 0.4936  1 Co 3.02, 3 Ga 3.08-3.24
Pr4 0.1704 0.3408 0.9936  1 Co 3.02, 3 Ga 3.08-3.24
Pr5 0.6592 0.8296 0.9936  1 Co 3.02, 3 Ga 3.08-3.24
Pr6 0.8296 0.1704 0.4936  1 Co 3.02, 3 Ga 3.08-3.24
Pr7 0.3333 0.6667 0.6764  1 Co 2.69
Pr8 0.6667 0.3333 0.1764  1 Co 2.69
Pr9 0.4624 0.5376 0.2896  1 Co 2.87
Pr10 0.9249 0.4624 0.7896  1 Co 2.87
Pr11 0.5376 0.0751 0.7896  1 Co 2.87
Pr12 0.4624 0.9249 0.2896  1 Co 2.87
Pr13 0.0751 0.5376 0.2896  1 Co 2.87
Pr14 0.5376 0.4624 0.7896  1 Co 2.87
Pr15 0.0000 0.0000 0.2783  8 Pr 3.47-3.71, 6 Ga 3.47-3.51
Pr16 0.0000 0.0000 0.7783  8 Pr 3.47-3.71, 6 Ga 3.47-3.51
Ga1 0.1645 0.8355 0.5331  6 Pr 3.08-3.28
Ga2 0.3290 0.1645 0.0331  6 Pr 3.08-3.28
Ga3 0.8355 0.6710 0.0331  6 Pr 3.08-3.28
Ga4 0.1645 0.3290 0.5331  6 Pr 3.08-3.28
Ga5 0.6710 0.8355 0.5331  6 Pr 3.08-3.28
Ga6 0.8355 0.1645 0.0331  6 Pr 3.08-3.28
Co1 0.3333 0.6667 0.0593  4 Pr 2.69-2.87
Co2 0.6667 0.3333 0.5593  4 Pr 2.69-2.87

Summary:
- Mass density: 6.79 g/cm3
- ΔE_f: -311.6 meV/atom

***

8.
An optimized crystal structure of PrGa2Co3, computed with PBE-GGA.

a = 5.3588 Å, b = 5.3588 Å, c = 3.7370 Å
α = 90.00°, β = 90.00°, γ = 120.00°
With the nearest neighbours (Å) after each atom.
Fractional coordinates of all 6 atoms:
Pr1 0.0000 0.0000 0.0000  6 Ga 3.09, 12 Co 3.27
Ga1 0.6667 0.3333 0.0000  6 Co 2.43
Ga2 0.3333 0.6667 0.0000  6 Co 2.43
Co1 0.5000 0.5000 0.5000  4 Ga 2.43, 4 Co 2.68
Co2 0.5000 0.0000 0.5000  4 Ga 2.43, 4 Co 2.68
Co3 0.0000 0.5000 0.5000  4 Ga 2.43, 4 Co 2.68

Summary:
- Magnetization: 1.10 Bohr magnetons per cell
- Mass density: 8.17 g/cm3
- ΔE_f: -310.8 meV/atom

***

> Which value of ΔE_f does entry 3 give?

-220.7 meV/atom

***

> The highest ΔE_f belongs to which entry?

GaCo2Ni